DFT (PBE) results for an optimized crystal structure of Ho2Si2O7.

Cell and atoms, written as CIF:
```
data_Ho2Si2O7
_cell_length_a 13.751
_cell_length_b 8.159
_cell_length_c 5.077
_cell_angle_alpha 90.00
_cell_angle_beta 90.00
_cell_angle_gamma 90.00
_space_group_name_H-M_alt 'P n m a'
_space_group_IT_number 62
loop_
_space_group_symop_operation_xyz
'x,y,z'
'-x,-y,-z'
'-x+1/2,-y,z+1/2'
'x+1/2,y,-z+1/2'
'x+1/2,-y+1/2,-z+1/2'
'-x+1/2,y+1/2,z+1/2'
'-x,y+1/2,-z'
'x,-y+1/2,z'
loop_
_atom_site_label
_atom_site_type_symbol
_atom_site_fract_x
_atom_site_fract_y
_atom_site_fract_z
Ho1 Ho 0.126 0.010 0.157
Si1 Si 0.041 0.750 0.626
Si2 Si 0.182 0.250 0.620
O1 O 0.048 0.580 0.794
O2 O 0.080 0.250 0.434
O3 O 0.100 0.750 0.348
O4 O 0.155 0.250 0.931
O5 O 0.234 0.084 0.508
```

## Properties
The calculation puts the energy of formation from the pure elements at -3.68 eV/atom. The total energy is -8.2090 eV/atom.

DFT (PBE) results for an optimized crystal structure of Li2Re2O11.

Cell and atoms, written as CIF:
```
data_Li2Re2O11
_cell_length_a 12.403
_cell_length_b 14.087
_cell_length_c 12.814
_cell_angle_alpha 90.00
_cell_angle_beta 90.72
_cell_angle_gamma 90.00
_space_group_name_H-M_alt 'P 1 21/c 1'
_space_group_IT_number 14
loop_
_space_group_symop_operation_xyz
'x,y,z'
'-x,-y,-z'
'-x,y+1/2,-z+1/2'
'x,-y+1/2,z+1/2'
loop_
_atom_site_label
_atom_site_type_symbol
_atom_site_fract_x
_atom_site_fract_y
_atom_site_fract_z
Li1 Li 0.010 0.142 0.371
Li2 Li 0.229 0.136 0.378
Li3 Li 0.272 0.640 0.630
Li4 Li 0.489 0.635 0.613
Re1 Re 0.089 0.083 0.616
Re2 Re 0.158 0.083 0.136
Re3 Re 0.347 0.572 0.384
Re4 Re 0.402 0.572 0.861
O1 O 0.042 0.614 0.854
O2 O 0.071 0.127 0.041
O3 O 0.099 0.542 0.119
O4 O 0.119 0.124 0.263
O5 O 0.119 0.124 0.487
O6 O 0.119 0.230 0.886
O7 O 0.121 0.747 0.591
O8 O 0.145 0.746 0.185
O9 O 0.160 0.542 0.634
O10 O 0.177 0.133 0.706
O11 O 0.211 0.575 0.354
O12 O 0.288 0.122 0.111
O13 O 0.337 0.039 0.363
O14 O 0.339 0.648 0.948
O15 O 0.369 0.246 0.343
O16 O 0.370 0.624 0.510
O17 O 0.377 0.719 0.125
O18 O 0.390 0.238 0.437
O19 O 0.391 0.621 0.732
O20 O 0.393 0.047 0.888
O21 O 0.420 0.633 0.291
O22 O 0.463 0.061 0.604
```

## Properties
The calculation puts the energy of formation from the pure elements at -1.34 eV/atom. The total energy is -6.7653 eV/atom. For the total moment, the calculation gives 16.00 Bohr magnetons per cell.

DFT (PBE) results for an optimized crystal structure of HfAlPd.

Cell and atoms, written as CIF:
```
data_HfAlPd
_cell_length_a 8.407
_cell_length_b 5.351
_cell_length_c 9.131
_cell_angle_alpha 90.00
_cell_angle_beta 90.00
_cell_angle_gamma 90.00
_space_group_name_H-M_alt 'A m m 2'
_space_group_IT_number 38
loop_
_space_group_symop_operation_xyz
'x,y,z'
'-x,-y,z'
'-x,y,z'
'x,-y,z'
'x,y+1/2,z+1/2'
'-x,-y+1/2,z+1/2'
'-x,y+1/2,z+1/2'
'x,-y+1/2,z+1/2'
loop_
_atom_site_label
_atom_site_type_symbol
_atom_site_fract_x
_atom_site_fract_y
_atom_site_fract_z
Hf1 Hf 0.183 0.000 0.000
Hf2 Hf 0.302 0.000 0.332
Al1 Al 0.246 0.000 0.668
Al2 Al 0.500 0.241 0.076
Pd1 Pd 0.000 0.000 0.496
Pd2 Pd 0.000 0.247 0.248
Pd3 Pd 0.500 0.000 0.832
```

## Properties
The calculation puts the energy of formation from the pure elements at -0.66 eV/atom. The total energy is -6.9497 eV/atom. For the total moment, the calculation gives 1.70 Bohr magnetons per cell.

DFT (PBE) results for an optimized crystal structure of FeCo3.

Cell and atoms, written as CIF:
```
data_FeCo3
_cell_length_a 3.542
_cell_length_b 3.542
_cell_length_c 3.542
_cell_angle_alpha 90.00
_cell_angle_beta 90.00
_cell_angle_gamma 90.00
_space_group_name_H-M_alt 'P m -3 m'
_space_group_IT_number 221
_space_group_name_Hall '-P 4 2 3'
loop_
_atom_site_label
_atom_site_type_symbol
_atom_site_fract_x
_atom_site_fract_y
_atom_site_fract_z
Fe1 Fe 0.000 0.000 0.000
Co1 Co 0.000 0.500 0.500
```

## Properties
The calculation puts the energy of formation from the pure elements at 0.01 eV/atom. The total energy is -7.4386 eV/atom.